No. 1
# Li2CaTl

Li2CaTl after structural relaxation (meta-GGA r2SCAN, the Materials Project database).

Output
DFT formation energy = -0.308 eV per atom
SG = Fm-3m, No. 225
crystal system = cubic
uncorrected energy = -16.556 eV/atom

a b c (Å): 4.9656 4.9656 4.9656
angles (deg): 60.00 60.00 60.00
Closest atoms and distances in Å follow each position.
Positions (direct):
Ca: 0.5000 0.5000 0.5000  8 Li 3.04
Li: 0.2500 0.2500 0.2500  4 Ca 3.04, 4 Tl 3.04
Li: 0.7500 0.7500 0.7500  4 Ca 3.04, 4 Tl 3.04
Tl: 0.0000 0.0000 0.0000  8 Li 3.04

No. 2
# CaLu2SnO6

CaLu2SnO6 after structural relaxation (meta-GGA r2SCAN, the Materials Project database).

Output
DFT formation energy = -2.327 eV per atom
SG = Fm-3m, No. 225
crystal system = cubic
uncorrected energy = -16.705 eV/atom

a b c (Å): 5.7595 5.7595 5.7595
angles (deg): 60.00 60.00 60.00
Closest atoms and distances in Å follow each position.
Positions (direct):
O: 0.7421 0.2579 0.2579  1 Sn 1.97, 1 Ca 2.10
O: 0.2579 0.7421 0.2579  1 Sn 1.97, 1 Ca 2.10
O: 0.2579 0.7421 0.7421  1 Sn 1.97, 1 Ca 2.10
O: 0.7421 0.2579 0.7421  1 Sn 1.97, 1 Ca 2.10
O: 0.2579 0.2579 0.7421  1 Sn 1.97, 1 Ca 2.10
O: 0.7421 0.7421 0.2579  1 Sn 1.97, 1 Ca 2.10
Sn: 0.5000 0.5000 0.5000  6 O 1.97
Ca: 0.0000 0.0000 0.0000  6 O 2.10
Lu: 0.2500 0.2500 0.2500  12 O 2.88
Lu: 0.7500 0.7500 0.7500  12 O 2.88

No. 3
# CaLu2TiO6

CaLu2TiO6 after structural relaxation (meta-GGA r2SCAN, the Materials Project database).

Output
DFT formation energy = -2.880 eV per atom
SG = Fm-3m, No. 225
crystal system = cubic
uncorrected energy = -16.077 eV/atom

a b c (Å): 5.6313 5.6313 5.6313
angles (deg): 60.00 60.00 60.00
Closest atoms and distances in Å follow each position.
Positions (direct):
O: 0.7371 0.2629 0.2629  1 Ti 1.89, 1 Ca 2.09
O: 0.7371 0.2629 0.7371  1 Ti 1.89, 1 Ca 2.09
O: 0.2629 0.7371 0.2629  1 Ti 1.89, 1 Ca 2.09
O: 0.2629 0.2629 0.7371  1 Ti 1.89, 1 Ca 2.09
O: 0.7371 0.7371 0.2629  1 Ti 1.89, 1 Ca 2.09
O: 0.2629 0.7371 0.7371  1 Ti 1.89, 1 Ca 2.09
Ca: 0.0000 0.0000 0.0000  6 O 2.09
Lu: 0.7500 0.7500 0.7500  12 O 2.82
Lu: 0.2500 0.2500 0.2500  12 O 2.82
Ti: 0.5000 0.5000 0.5000  6 O 1.89

No. 4
# Ca2LuVO6

Ca2LuVO6 after structural relaxation (meta-GGA r2SCAN, the Materials Project database).

Output
DFT formation energy = -3.138 eV per atom
SG = Fm-3m, No. 225
crystal system = cubic
uncorrected energy = -13.346 eV/atom

a b c (Å): 5.6056 5.6056 5.6056
angles (deg): 60.00 60.00 60.00
Closest atoms and distances in Å follow each position.
Positions (direct):
Ca: 0.7500 0.7500 0.7500  12 O 2.81
Ca: 0.2500 0.2500 0.2500  12 O 2.81
O: 0.2655 0.7345 0.2655  1 V 1.86
O: 0.2655 0.7345 0.7345  1 V 1.86
O: 0.7345 0.7345 0.2655  1 V 1.86
O: 0.7345 0.2655 0.7345  1 V 1.86
O: 0.2655 0.2655 0.7345  1 V 1.86
O: 0.7345 0.2655 0.2655  1 V 1.86
V: 0.5000 0.5000 0.5000  6 O 1.86
Lu: 0.0000 0.0000 0.0000  6 O 2.10